No. 1
## Rb2YAuI6 (PBE)

Data for an optimized crystal structure of Rb2YAuI6.

## Properties
Symmetry: Fm-3m, No. 225
Total magnetic moment, μB/f.u.: 0.00
Calculated volume, Å³/cell: 444
Crystal system: cubic
MP2020-corrected energy, eV/atom: -3.404
ΔH_f (0 K), meV/atom: -1319.1

a = 8.5608 Å, b = 8.5608 Å, c = 8.5608 Å
α = 60.00°, β = 60.00°, γ = 60.00°
Fractional coordinates of all 10 atoms:
Rb 0.7500 0.7500 0.7500
Rb 0.2500 0.2500 0.2500
Y 0.0000 0.0000 0.0000
Au 0.5000 0.5000 0.5000
I 0.7496 0.2504 0.2504
I 0.2504 0.2504 0.7496
I 0.2504 0.7496 0.7496
I 0.2504 0.7496 0.2504
I 0.7496 0.2504 0.7496
I 0.7496 0.7496 0.2504

=====

No. 2
## Te2AuI (PBE)

Data for an optimized crystal structure of Te2AuI.

## Properties
Symmetry: Pmma, No. 51
Calculated volume, Å³/cell: 259
Crystal system: orthorhombic
MP2020-corrected energy, eV/atom: -2.966
ΔH_f (0 K), meV/atom: -195.1

a = 4.1402 Å, b = 4.8256 Å, c = 12.9785 Å
α = 90.00°, β = 90.00°, γ = 90.00°
Fractional coordinates of all 8 atoms:
Te 0.5000 0.1967 0.5802
Te 0.5000 0.8033 0.4198
Te 0.5000 0.1967 0.9198
Te 0.5000 0.8033 0.0802
Au 0.0000 0.5000 0.5000
Au 0.0000 0.5000 0.0000
I 0.0000 0.2650 0.2500
I 0.0000 0.7350 0.7500

=====

No. 3
## In3Au10 (PBE)

Data for an optimized crystal structure of In3Au10.

## Properties
Symmetry: P6_3/m, No. 176
Calculated volume, Å³/cell: 494
Crystal system: hexagonal
ΔH_f (0 K), meV/atom: -111.5

a = 10.9073 Å, b = 10.9073 Å, c = 4.7968 Å
α = 90.00°, β = 90.00°, γ = 120.00°
Fractional coordinates of all 26 atoms:
In 0.6386 0.7440 0.2500
In 0.2560 0.8946 0.2500
In 0.1054 0.3614 0.2500
In 0.3614 0.2560 0.7500
In 0.7440 0.1054 0.7500
In 0.8946 0.6386 0.7500
Au 0.8775 0.0581 0.2500
Au 0.9419 0.8194 0.2500
Au 0.1806 0.1225 0.2500
Au 0.1225 0.9419 0.7500
Au 0.0581 0.1806 0.7500
Au 0.8194 0.8775 0.7500
Au 0.5645 0.9742 0.2500
Au 0.0258 0.5903 0.2500
Au 0.4097 0.4355 0.2500
Au 0.4355 0.0258 0.7500
Au 0.9742 0.4097 0.7500
Au 0.5903 0.5645 0.7500
Au 0.7960 0.2844 0.2500
Au 0.7156 0.5115 0.2500
Au 0.4885 0.2040 0.2500
Au 0.2040 0.7156 0.7500
Au 0.2844 0.4885 0.7500
Au 0.5115 0.7960 0.7500
Au 0.6667 0.3333 0.7500
Au 0.3333 0.6667 0.2500

=====

No. 4
## K3InAu5 (PBE)

Data for an optimized crystal structure of K3InAu5.

## Properties
Symmetry: Imma, No. 74
Calculated volume, Å³/cell: 490
Crystal system: orthorhombic
ΔH_f (0 K), meV/atom: -328.1

a = 11.2379 Å, b = 11.2379 Å, c = 11.2379 Å
α = 150.57°, β = 135.05°, γ = 54.65°
Fractional coordinates of all 18 atoms:
K 0.2935 0.9143 0.3792
K 0.0351 0.4143 0.6208
K 0.6309 0.2500 0.3809
K 0.3691 0.7500 0.6191
K 0.9649 0.5857 0.3792
K 0.7065 0.0857 0.6208
In 0.9152 0.7500 0.1652
In 0.0848 0.2500 0.8348
Au 0.0000 0.0000 0.0000
Au 0.5000 0.5000 0.0000
Au 0.6861 0.6861 0.5000
Au 0.6861 0.1861 0.0000
Au 0.8193 0.8547 0.9646
Au 0.3901 0.3547 0.0354
Au 0.6099 0.6453 0.9646
Au 0.1807 0.1453 0.0354
Au 0.3139 0.8139 0.0000
Au 0.3139 0.3139 0.5000